# 1
VASP calculation (PBE+U) on Li5FeO3F after structural relaxation.

abc: 5.4718 6.6405 5.4828
angles: 90.00 93.88 90.00
Last column: nearest neighbours and their distance in Å.
Atoms (fractional coordinates):
Li 0.0000 0.0000 0.0000  1 F 1.89, 3 O 1.98
Li 0.0574 0.2732 0.4456  4 O 2.00-2.19
Li 0.0574 0.7268 0.4456  4 O 2.00-2.19
Li 0.3076 0.5000 0.7040  1 F 1.89, 3 O 1.99-2.00
Li 0.4734 0.2487 0.1687  2 F 1.89-1.90, 2 O 2.00-2.01
Li 0.4734 0.7513 0.1687  2 F 1.89-1.90, 2 O 2.00-2.01
Li 0.6417 0.5000 0.4510  3 O 1.92-1.99
Li 0.7581 0.2303 0.7387  4 O 1.97-2.19
Li 0.7581 0.7697 0.7387  4 O 1.97-2.19
Li 0.7600 0.0000 0.3392  3 O 1.90-1.99
Fe 0.3368 0.0000 0.6396  3 O 1.94-2.08
Fe 0.9346 0.5000 0.0287  3 O 1.94-2.09
O 0.4403 0.2633 0.5318  1 Fe 1.94, 5 Li 1.99-2.12
O 0.4403 0.7367 0.5318  1 Fe 1.94, 5 Li 1.99-2.12
O 0.8344 0.2367 0.1355  1 Fe 1.94, 4 Li 1.98-2.04
O 0.8344 0.7633 0.1355  1 Fe 1.94, 4 Li 1.98-2.04
O 0.9447 0.5000 0.6488  6 Li 1.92-2.14, 1 Fe 2.09
O 0.9560 0.0000 0.6386  4 Li 1.90-1.98, 1 Fe 2.08
F 0.3449 0.0000 0.0514  3 Li 1.89
F 0.3529 0.5000 0.0484  3 Li 1.89-1.90

Results
energy with MP2020 corrections = -108.09 eV per cell
energy above the most stable polymorph in this dataset = 226 meV per atom
formation enthalpy at 0 K = -1927.4 meV per atom

# 2
VASP calculation (PBE+U) on LiFe3O2F6 after structural relaxation.

abc: 5.1789 7.1517 7.5500
angles: 78.92 89.19 89.73
Last column: nearest neighbours and their distance in Å.
Atoms (fractional coordinates):
Li 0.2139 0.1608 0.1631  4 F 2.01-2.21, 1 O 2.05
Li 0.7861 0.8392 0.8369  4 F 2.01-2.21, 1 O 2.05
Fe 0.2420 0.1681 0.6755  2 O 1.86-2.05, 3 F 2.00-2.07
Fe 0.2602 0.6826 0.6801  2 O 1.88-1.98, 3 F 2.01-2.09
Fe 0.2862 0.6613 0.1786  1 O 1.90, 4 F 1.96-2.03
Fe 0.7138 0.3387 0.8214  1 O 1.90, 4 F 1.96-2.03
Fe 0.7398 0.3174 0.3199  2 O 1.88-1.98, 3 F 2.01-2.09
Fe 0.7580 0.8319 0.3245  2 O 1.86-2.05, 3 F 2.00-2.07
O 0.1154 0.9222 0.6892  2 Fe 1.86-1.88, 1 Li 2.05
O 0.4036 0.4228 0.7004  3 Fe 1.90-2.05
O 0.5964 0.5772 0.2996  3 Fe 1.90-2.05
O 0.8846 0.0778 0.3108  2 Fe 1.86-1.88, 1 Li 2.05
F 0.0415 0.1965 0.9085  2 Fe 2.03-2.07, 1 Li 2.10
F 0.0830 0.4277 0.1931  2 Fe 1.96-2.09, 1 Li 2.07
F 0.0957 0.6870 0.4257  3 Fe 2.11-2.14
F 0.4079 0.2023 0.4301  2 Fe 2.00-2.01
F 0.4233 0.9206 0.1914  1 Li 2.01, 2 Fe 2.01-2.05
F 0.4252 0.6862 0.9304  2 Fe 1.97-2.09, 1 Li 2.21
F 0.5748 0.3138 0.0696  2 Fe 1.97-2.09, 1 Li 2.21
F 0.5767 0.0794 0.8086  1 Li 2.01, 2 Fe 2.01-2.05
F 0.5921 0.7977 0.5699  2 Fe 2.00-2.01
F 0.9043 0.3130 0.5743  3 Fe 2.11-2.14
F 0.9170 0.5723 0.8069  2 Fe 1.96-2.09, 1 Li 2.07
F 0.9585 0.8035 0.0915  2 Fe 2.03-2.07, 1 Li 2.10

Results
energy with MP2020 corrections = -155.35 eV per cell
energy above the most stable polymorph in this dataset = 53 meV per atom
formation enthalpy at 0 K = -2414.5 meV per atom

# 3
VASP calculation (PBE+U) on LiFe8O12F4 after structural relaxation.

abc: 7.9247 7.9247 6.4445
angles: 90.07 90.07 44.29
Last column: nearest neighbours and their distance in Å.
Atoms (fractional coordinates):
Li 0.0000 0.0000 0.0000  2 F 1.87, 2 O 1.88
Fe 0.0218 0.7022 0.7428  4 O 1.94-1.99, 1 F 2.03
Fe 0.0378 0.2242 0.7400  4 O 1.85-2.04, 1 F 2.04
Fe 0.2830 0.4759 0.2475  4 O 1.89-1.98, 1 F 2.09
Fe 0.2978 0.9782 0.2572  4 O 1.94-1.99, 1 F 2.03
Fe 0.5241 0.7170 0.7525  4 O 1.89-1.98, 1 F 2.09
Fe 0.5578 0.2469 0.7502  5 O 1.96-2.00
Fe 0.7531 0.4422 0.2498  5 O 1.96-2.00
Fe 0.7758 0.9622 0.2600  4 O 1.85-2.04, 1 F 2.04
O 0.0283 0.2227 0.4399  3 Fe 1.94-1.96
O 0.0312 0.2103 0.0551  1 Li 1.88, 3 Fe 1.99-2.04
O 0.2836 0.4745 0.9410  3 Fe 1.96-1.97
O 0.2887 0.4670 0.5543  3 Fe 1.94-1.98
O 0.3637 0.0419 0.7470  2 Fe 1.85-1.89
O 0.5255 0.7164 0.0590  3 Fe 1.96-1.97
O 0.5330 0.7113 0.4457  3 Fe 1.94-1.98
O 0.6263 0.2972 0.2455  3 Fe 1.97-2.00
O 0.7028 0.3737 0.7545  3 Fe 1.97-2.00
O 0.7773 0.9717 0.5601  3 Fe 1.94-1.96
O 0.7897 0.9688 0.9449  1 Li 1.88, 3 Fe 1.99-2.04
O 0.9581 0.6363 0.2530  2 Fe 1.85-1.89
F 0.1306 0.8270 0.2483  1 Li 1.87
F 0.1730 0.8694 0.7517  1 Li 1.87
F 0.4293 0.1229 0.2466  3 Fe 2.03-2.13
F 0.8771 0.5707 0.7534  3 Fe 2.03-2.13

Results
energy with MP2020 corrections = -179.20 eV per cell
energy above the most stable polymorph in this dataset = 27 meV per atom
formation enthalpy at 0 K = -1700.0 meV per atom

# 4
VASP calculation (PBE+U) on Li4FeO3F after structural relaxation.

abc: 5.2822 5.3572 7.8292
angles: 70.41 83.30 66.75
Last column: nearest neighbours and their distance in Å.
Atoms (fractional coordinates):
Li 0.0000 0.0000 0.0000  3 O 1.99-2.07, 1 F 2.16
Li 0.0030 0.8361 0.4225  4 O 1.98-2.11
Li 0.4864 0.2190 0.4524  3 O 1.93-2.00
Li 0.4900 0.6483 0.5873  3 O 2.01-2.10, 1 F 2.04
Li 0.5090 0.5010 0.0039  3 O 2.00-2.09, 1 F 2.10
Li 0.5303 0.1285 0.7894  4 O 1.94-2.02
Li 0.9618 0.3301 0.2251  2 F 1.93-1.99, 2 O 1.94-1.95
Li 0.9861 0.2086 0.5827  1 F 2.02, 4 O 2.06-2.23
Fe 0.5117 0.9328 0.2153  3 O 1.84-1.88, 1 F 2.03
Fe 0.9659 0.5705 0.7663  3 O 1.84-1.87, 1 F 2.04
O 0.2399 0.4385 0.6076  1 Fe 1.87, 3 Li 1.98-2.01
O 0.2579 0.0354 0.3939  1 Fe 1.88, 4 Li 1.95-2.10
O 0.4039 0.8983 0.0123  1 Fe 1.84, 3 Li 1.99-2.00
O 0.7446 0.3601 0.8066  1 Fe 1.86, 4 Li 2.02-2.07
O 0.7486 0.1224 0.1977  1 Fe 1.87, 4 Li 1.94-2.09
O 0.7757 0.9421 0.6254  1 Fe 1.84, 4 Li 1.93-2.06
F 0.0892 0.5677 0.0052  3 Li 1.99-2.16, 1 Fe 2.04
F 0.7366 0.5373 0.3829  3 Li 1.93-2.04, 1 Fe 2.03

Results
energy with MP2020 corrections = -104.77 eV per cell
energy above the most stable polymorph in this dataset = 22 meV per atom
formation enthalpy at 0 K = -2168.8 meV per atom

# 5
VASP calculation (PBE+U) on Li2FeO2F after structural relaxation.

abc: 5.1805 5.1805 9.8489
angles: 94.89 94.89 119.84
Last column: nearest neighbours and their distance in Å.
Atoms (fractional coordinates):
Li 0.0000 0.5000 0.5000  2 F 2.12, 4 O 2.13-2.15
Li 0.0919 0.9081 0.7500  4 O 2.14-2.17, 2 F 2.18
Li 0.2257 0.7743 0.2500  4 O 2.08-2.10, 2 F 2.32
Li 0.4002 0.5998 0.7500  4 O 2.04-2.18, 2 F 2.20
Li 0.5000 0.0000 0.0000  2 F 2.12, 4 O 2.13-2.15
Li 0.5998 0.4002 0.2500  4 O 2.04-2.18, 2 F 2.20
Li 0.7743 0.2257 0.7500  4 O 2.08-2.10, 2 F 2.32
Li 0.9081 0.0919 0.2500  4 O 2.14-2.17, 2 F 2.18
Fe 0.1255 0.3128 0.0015  4 O 1.95-2.01
Fe 0.3128 0.1255 0.5015  4 O 1.95-2.01
Fe 0.6872 0.8745 0.4985  4 O 1.95-2.01
Fe 0.8745 0.6872 0.9985  4 O 1.95-2.01
O 0.0507 0.1951 0.6166  2 Fe 1.96-1.98, 4 Li 2.08-2.18
O 0.1182 0.6050 0.8818  2 Fe 1.95-2.01, 4 Li 2.04-2.17
O 0.1951 0.0507 0.1166  2 Fe 1.96-1.98, 4 Li 2.08-2.18
O 0.3950 0.8818 0.6182  2 Fe 1.95-2.01, 4 Li 2.04-2.17
O 0.6050 0.1182 0.3818  2 Fe 1.95-2.01, 4 Li 2.04-2.17
O 0.8049 0.9493 0.8834  2 Fe 1.96-1.98, 4 Li 2.08-2.18
O 0.8818 0.3950 0.1182  2 Fe 1.95-2.01, 4 Li 2.04-2.17
O 0.9493 0.8049 0.3834  2 Fe 1.96-1.98, 4 Li 2.08-2.18
F 0.3047 0.4617 0.3806  4 Li 2.12-2.32, 2 Fe 2.19-2.21
F 0.4617 0.3047 0.8806  4 Li 2.12-2.32, 2 Fe 2.19-2.21
F 0.5383 0.6953 0.1194  4 Li 2.12-2.32, 2 Fe 2.19-2.21
F 0.6953 0.5383 0.6194  4 Li 2.12-2.32, 2 Fe 2.19-2.21

Results
energy with MP2020 corrections = -150.72 eV per cell
energy above the most stable polymorph in this dataset = 85 meV per atom
formation enthalpy at 0 K = -2263.6 meV per atom

# 6
VASP calculation (PBE+U) on LiFeOF after structural relaxation.

abc: 3.0231 4.4354 12.0275
angles: 90.00 92.30 90.00
Last column: nearest neighbours and their distance in Å.
Atoms (fractional coordinates):
Li 0.0000 0.0000 0.0000  4 F 2.10-2.16, 2 O 2.18-2.25
Li 0.0000 0.0009 0.5000  4 F 2.08-2.19, 2 O 2.20-2.24
Li 0.0010 0.0006 0.2545  4 F 2.06-2.23, 2 O 2.21-2.23
Li 0.9990 0.0006 0.7455  4 F 2.06-2.23, 2 O 2.21-2.23
Fe 0.4891 0.5028 0.6255  4 O 2.04-2.20, 2 F 2.22
Fe 0.4895 0.5026 0.8745  4 O 2.12-2.16, 2 F 2.21-2.23
Fe 0.5105 0.5026 0.1255  4 O 2.12-2.16, 2 F 2.21-2.23
Fe 0.5109 0.5028 0.3745  4 O 2.04-2.20, 2 F 2.22
O 0.0000 0.5048 0.5000  4 Fe 2.07-2.20, 2 Li 2.20-2.24
O 0.0000 0.5074 0.0000  4 Fe 2.12-2.16, 2 Li 2.18-2.25
O 0.0257 0.5036 0.2511  4 Fe 2.04-2.19, 2 Li 2.21-2.23
O 0.9743 0.5036 0.7489  4 Fe 2.04-2.19, 2 Li 2.21-2.23
F 0.4928 0.0042 0.8750  4 Li 2.10-2.23, 2 Fe 2.21-2.23
F 0.4935 0.0034 0.6255  4 Li 2.06-2.19, 2 Fe 2.22
F 0.5065 0.0034 0.3745  4 Li 2.06-2.19, 2 Fe 2.22
F 0.5072 0.0042 0.1250  4 Li 2.10-2.23, 2 Fe 2.21-2.23

Results
energy with MP2020 corrections = -104.55 eV per cell
energy above the most stable polymorph in this dataset = 23 meV per atom
formation enthalpy at 0 K = -2223.8 meV per atom

| no. | calculated density (g cm⁻³) |
| --- | --- |
| 1 | 2.63 |
| 2 | 3.88 |
| 3 | 4.24 |
| 4 | 2.61 |
| 5 | 3.55 |
| 6 | 4.03 |